1.
{
  "formula": "K2GeS6O21",
  "functional": "GGA-PBE",
  "state": "relaxed",
  "space_group": "P-3, No. 147",
  "ef_ev_per_atom": -1.88,
  "density_g_cm3": 2.4,
  "lattice": [[4.113, 5.743, 6.864], [-9.790, -1.027, -0.341], [0.677, -8.752, 6.917]],
  "species": ["K", "K", "K", "K", "Ge", "Ge", "S", "S", "S", "S", "S", "S", "S", "S", "S", "S", "S", "S", "O", "O", "O", "O", "O", "O", "O", "O", "O", "O", "O", "O", "O", "O", "O", "O", "O", "O", "O", "O", "O", "O", "O", "O", "O", "O", "O", "O", "O", "O", "O", "O", "O", "O", "O", "O", "O", "O", "O", "O", "O", "O"],
  "frac_coords": [[0.667, 0.333, 0.441], [0.333, 0.667, 0.559], [0.667, 0.333, 0.872], [0.333, 0.667, 0.128], [0.000, 0.000, 0.241], [0.000, 0.000, 0.759], [0.929, 0.262, 0.661], [0.738, 0.667, 0.661], [0.333, 0.071, 0.661], [0.071, 0.738, 0.339], [0.262, 0.333, 0.339], [0.667, 0.929, 0.339], [0.840, 0.652, 0.152], [0.348, 0.188, 0.152], [0.812, 0.160, 0.152], [0.160, 0.348, 0.848], [0.652, 0.812, 0.848], [0.188, 0.840, 0.848], [0.883, 0.824, 0.139], [0.176, 0.059, 0.139], [0.941, 0.117, 0.139], [0.117, 0.176, 0.861], [0.824, 0.941, 0.861], [0.059, 0.883, 0.861], [0.945, 0.117, 0.653], [0.883, 0.828, 0.653], [0.172, 0.055, 0.653], [0.055, 0.883, 0.347], [0.117, 0.172, 0.347], [0.828, 0.945, 0.347], [0.768, 0.224, 0.669], [0.776, 0.544, 0.669], [0.456, 0.232, 0.669], [0.232, 0.776, 0.331], [0.224, 0.456, 0.331], [0.544, 0.768, 0.331], [0.826, 0.586, 0.035], [0.414, 0.240, 0.035], [0.760, 0.174, 0.035], [0.174, 0.414, 0.965], [0.586, 0.760, 0.965], [0.240, 0.826, 0.965], [0.721, 0.570, 0.240], [0.430, 0.152, 0.240], [0.848, 0.279, 0.240], [0.279, 0.430, 0.760], [0.570, 0.848, 0.760], [0.152, 0.721, 0.760], [0.994, 0.331, 0.797], [0.669, 0.663, 0.797], [0.337, 0.006, 0.797], [0.006, 0.669, 0.203], [0.331, 0.337, 0.203], [0.663, 0.994, 0.203], [0.027, 0.376, 0.574], [0.624, 0.651, 0.574], [0.349, 0.973, 0.574], [0.973, 0.624, 0.426], [0.376, 0.349, 0.426], [0.651, 0.027, 0.426]]
}



2.
{
  "formula": "K2SnGe3O9",
  "functional": "GGA-PBE",
  "state": "relaxed",
  "space_group": "P-3c1, No. 165",
  "ef_ev_per_atom": -2.12,
  "density_g_cm3": 4.1,
  "lattice": [[6.072, -10.516, 0.000], [6.072, 10.516, 0.000], [0.000, 0.000, 10.742]],
  "species": ["K", "K", "K", "K", "K", "K", "K", "K", "K", "K", "K", "K", "Sn", "Sn", "Sn", "Sn", "Sn", "Sn", "Ge", "Ge", "Ge", "Ge", "Ge", "Ge", "Ge", "Ge", "Ge", "Ge", "Ge", "Ge", "Ge", "Ge", "Ge", "Ge", "Ge", "Ge", "O", "O", "O", "O", "O", "O", "O", "O", "O", "O", "O", "O", "O", "O", "O", "O", "O", "O", "O", "O", "O", "O", "O", "O", "O", "O", "O", "O", "O", "O", "O", "O", "O", "O", "O", "O", "O", "O", "O", "O", "O", "O", "O", "O", "O", "O", "O", "O", "O", "O", "O", "O", "O", "O"],
  "frac_coords": [[0.346, 0.346, 0.991], [0.000, 0.346, 0.009], [0.000, 0.654, 0.509], [0.654, 0.000, 0.991], [0.000, 0.346, 0.491], [0.654, 0.654, 0.009], [0.346, 0.346, 0.509], [0.000, 0.654, 0.991], [0.346, 0.000, 0.009], [0.654, 0.000, 0.509], [0.346, 0.000, 0.491], [0.654, 0.654, 0.491], [0.333, 0.667, 0.493], [0.667, 0.333, 0.507], [0.667, 0.333, 0.007], [0.333, 0.667, 0.993], [0.000, 0.000, 0.500], [0.000, 0.000, 0.000], [0.549, 0.832, 0.237], [0.819, 0.000, 0.750], [0.181, 0.181, 0.750], [0.832, 0.549, 0.263], [0.283, 0.832, 0.737], [0.168, 0.717, 0.237], [0.717, 0.168, 0.263], [0.819, 0.819, 0.250], [0.000, 0.181, 0.250], [0.168, 0.451, 0.737], [0.283, 0.451, 0.237], [0.549, 0.717, 0.737], [0.832, 0.283, 0.763], [0.000, 0.819, 0.750], [0.451, 0.168, 0.763], [0.451, 0.283, 0.263], [0.717, 0.549, 0.763], [0.181, 0.000, 0.250], [0.666, 0.791, 0.191], [0.912, 0.071, 0.617], [0.817, 0.368, 0.889], [0.503, 0.273, 0.114], [0.273, 0.770, 0.886], [0.791, 0.124, 0.809], [0.000, 0.633, 0.250], [0.841, 0.912, 0.383], [0.632, 0.183, 0.389], [0.551, 0.183, 0.889], [0.183, 0.632, 0.111], [0.334, 0.209, 0.809], [0.876, 0.209, 0.309], [0.727, 0.230, 0.114], [0.159, 0.071, 0.117], [0.183, 0.551, 0.611], [0.230, 0.727, 0.386], [0.929, 0.841, 0.617], [0.666, 0.876, 0.691], [0.367, 0.000, 0.750], [0.841, 0.929, 0.883], [0.912, 0.841, 0.117], [0.632, 0.449, 0.889], [0.368, 0.817, 0.611], [0.633, 0.633, 0.750], [0.088, 0.159, 0.883], [0.929, 0.088, 0.117], [0.633, 0.000, 0.250], [0.497, 0.727, 0.886], [0.367, 0.367, 0.250], [0.770, 0.273, 0.614], [0.273, 0.503, 0.386], [0.124, 0.791, 0.691], [0.334, 0.124, 0.309], [0.368, 0.551, 0.111], [0.791, 0.666, 0.309], [0.124, 0.334, 0.191], [0.876, 0.666, 0.809], [0.770, 0.497, 0.114], [0.817, 0.449, 0.389], [0.449, 0.817, 0.111], [0.159, 0.088, 0.617], [0.551, 0.368, 0.389], [0.209, 0.334, 0.691], [0.727, 0.497, 0.614], [0.000, 0.367, 0.750], [0.088, 0.929, 0.383], [0.503, 0.230, 0.614], [0.071, 0.912, 0.883], [0.449, 0.632, 0.611], [0.071, 0.159, 0.383], [0.497, 0.770, 0.386], [0.209, 0.876, 0.191], [0.230, 0.503, 0.886]]
}



3.
{
  "formula": "KU11Ge2O38",
  "functional": "GGA-PBE",
  "state": "relaxed",
  "space_group": "P-31c, No. 163",
  "ef_ev_per_atom": -3.31,
  "density_g_cm3": 7.0,
  "lattice": [[-5.175, -8.963, 0.000], [-10.350, 0.000, 0.000], [0.000, 0.000, -17.412]],
  "species": ["K", "K", "U", "U", "U", "U", "U", "U", "U", "U", "U", "U", "U", "U", "U", "U", "U", "U", "U", "U", "U", "U", "U", "U", "Ge", "Ge", "Ge", "Ge", "O", "O", "O", "O", "O", "O", "O", "O", "O", "O", "O", "O", "O", "O", "O", "O", "O", "O", "O", "O", "O", "O", "O", "O", "O", "O", "O", "O", "O", "O", "O", "O", "O", "O", "O", "O", "O", "O", "O", "O", "O", "O", "O", "O", "O", "O", "O", "O", "O", "O", "O", "O", "O", "O", "O", "O", "O", "O", "O", "O", "O", "O", "O", "O", "O", "O", "O", "O", "O", "O", "O", "O", "O", "O", "O", "O"],
  "frac_coords": [[0.333, 0.333, 0.250], [0.667, 0.667, 0.750], [0.858, 0.858, 0.250], [0.284, 0.858, 0.250], [0.858, 0.284, 0.250], [0.142, 0.142, 0.750], [0.716, 0.142, 0.750], [0.142, 0.716, 0.750], [0.667, 0.667, 0.099], [0.333, 0.333, 0.599], [0.333, 0.333, 0.901], [0.667, 0.667, 0.401], [0.643, 0.019, 0.059], [0.338, 0.643, 0.059], [0.019, 0.338, 0.059], [0.981, 0.357, 0.559], [0.662, 0.981, 0.559], [0.357, 0.662, 0.559], [0.357, 0.981, 0.941], [0.662, 0.357, 0.941], [0.981, 0.662, 0.941], [0.019, 0.643, 0.441], [0.338, 0.019, 0.441], [0.643, 0.338, 0.441], [0.000, 0.000, 0.599], [0.000, 0.000, 0.099], [0.000, 0.000, 0.401], [0.000, 0.000, 0.901], [0.714, 0.815, 0.155], [0.471, 0.714, 0.155], [0.815, 0.471, 0.155], [0.185, 0.286, 0.655], [0.529, 0.185, 0.655], [0.286, 0.529, 0.655], [0.286, 0.185, 0.845], [0.529, 0.286, 0.845], [0.185, 0.529, 0.845], [0.815, 0.714, 0.345], [0.471, 0.815, 0.345], [0.714, 0.471, 0.345], [0.508, 0.139, 0.130], [0.353, 0.508, 0.130], [0.138, 0.353, 0.129], [0.861, 0.492, 0.630], [0.647, 0.862, 0.629], [0.492, 0.647, 0.630], [0.492, 0.861, 0.870], [0.647, 0.492, 0.870], [0.862, 0.647, 0.871], [0.139, 0.508, 0.370], [0.353, 0.138, 0.371], [0.508, 0.353, 0.370], [0.172, 0.848, 0.130], [0.980, 0.172, 0.130], [0.848, 0.980, 0.130], [0.152, 0.828, 0.630], [0.020, 0.152, 0.630], [0.828, 0.020, 0.630], [0.828, 0.152, 0.870], [0.020, 0.828, 0.870], [0.152, 0.020, 0.870], [0.848, 0.172, 0.370], [0.980, 0.848, 0.370], [0.172, 0.980, 0.370], [0.781, 0.897, 0.984], [0.322, 0.781, 0.984], [0.897, 0.322, 0.984], [0.103, 0.219, 0.484], [0.678, 0.103, 0.484], [0.219, 0.678, 0.484], [0.219, 0.103, 0.016], [0.678, 0.219, 0.016], [0.103, 0.678, 0.016], [0.897, 0.781, 0.516], [0.322, 0.897, 0.516], [0.781, 0.322, 0.516], [0.021, 0.691, 0.217], [0.288, 0.020, 0.217], [0.691, 0.288, 0.217], [0.309, 0.979, 0.717], [0.712, 0.309, 0.717], [0.980, 0.712, 0.717], [0.979, 0.309, 0.783], [0.712, 0.980, 0.783], [0.309, 0.712, 0.783], [0.691, 0.021, 0.283], [0.288, 0.691, 0.283], [0.020, 0.288, 0.283], [0.000, 0.000, 0.500], [0.000, 0.000, 0.000], [0.865, 0.592, 0.033], [0.543, 0.865, 0.033], [0.592, 0.543, 0.033], [0.408, 0.135, 0.533], [0.457, 0.408, 0.533], [0.135, 0.457, 0.533], [0.135, 0.408, 0.967], [0.457, 0.135, 0.967], [0.408, 0.457, 0.967], [0.592, 0.865, 0.467], [0.543, 0.592, 0.467], [0.865, 0.543, 0.467], [0.000, 0.000, 0.250], [0.000, 0.000, 0.750]]
}



4.
{
  "formula": "K2ZnGeO4",
  "functional": "GGA-PBE",
  "state": "relaxed",
  "space_group": "Pca2_1, No. 29",
  "ef_ev_per_atom": -2.05,
  "density_g_cm3": 3.6,
  "lattice": [[-2.608, 1.148, 4.855], [1.871, -10.571, 3.505], [13.974, 4.601, 6.417]],
  "species": ["K", "K", "K", "K", "K", "K", "K", "K", "K", "K", "K", "K", "K", "K", "K", "K", "Zn", "Zn", "Zn", "Zn", "Zn", "Zn", "Zn", "Zn", "Ge", "Ge", "Ge", "Ge", "Ge", "Ge", "Ge", "Ge", "O", "O", "O", "O", "O", "O", "O", "O", "O", "O", "O", "O", "O", "O", "O", "O", "O", "O", "O", "O", "O", "O", "O", "O", "O", "O", "O", "O", "O", "O", "O", "O"],
  "frac_coords": [[0.955, 0.735, 0.995], [0.045, 0.265, 0.495], [0.045, 0.235, 0.995], [0.955, 0.765, 0.495], [0.454, 0.732, 0.128], [0.546, 0.268, 0.628], [0.546, 0.232, 0.128], [0.454, 0.768, 0.628], [0.994, 0.515, 0.374], [0.006, 0.485, 0.874], [0.006, 0.015, 0.374], [0.492, 0.986, 0.253], [0.492, 0.514, 0.753], [0.508, 0.486, 0.253], [0.508, 0.014, 0.753], [0.994, 0.985, 0.874], [0.486, 0.510, 0.502], [0.030, 0.239, 0.248], [0.030, 0.261, 0.748], [0.970, 0.739, 0.248], [0.486, 0.990, 0.002], [0.514, 0.010, 0.502], [0.514, 0.490, 0.002], [0.970, 0.761, 0.748], [0.983, 0.990, 0.124], [0.017, 0.010, 0.624], [0.017, 0.490, 0.124], [0.983, 0.510, 0.624], [0.473, 0.765, 0.378], [0.527, 0.235, 0.878], [0.527, 0.265, 0.378], [0.473, 0.735, 0.878], [0.708, 0.513, 0.104], [0.292, 0.487, 0.604], [0.292, 0.013, 0.104], [0.708, 0.987, 0.604], [0.177, 0.525, 0.031], [0.823, 0.475, 0.531], [0.823, 0.025, 0.031], [0.177, 0.975, 0.531], [0.611, 0.601, 0.911], [0.389, 0.399, 0.411], [0.389, 0.101, 0.911], [0.611, 0.899, 0.411], [0.103, 0.584, 0.208], [0.897, 0.416, 0.708], [0.897, 0.084, 0.208], [0.910, 0.840, 0.150], [0.203, 0.694, 0.827], [0.797, 0.306, 0.327], [0.797, 0.194, 0.827], [0.203, 0.806, 0.327], [0.672, 0.692, 0.308], [0.328, 0.308, 0.808], [0.328, 0.192, 0.308], [0.672, 0.808, 0.808], [0.410, 0.675, 0.466], [0.590, 0.325, 0.966], [0.590, 0.175, 0.466], [0.410, 0.825, 0.966], [0.910, 0.660, 0.650], [0.090, 0.340, 0.150], [0.090, 0.160, 0.650], [0.103, 0.916, 0.708]]
}



5.
{
  "formula": "K2ZnGe2O6",
  "functional": "GGA-PBE",
  "state": "relaxed",
  "space_group": "C222_1, No. 20",
  "ef_ev_per_atom": -2.12,
  "density_g_cm3": 3.6,
  "lattice": [[3.255, -4.953, 0.000], [3.255, 4.953, 0.000], [0.000, 0.000, 11.065]],
  "species": ["K", "K", "K", "K", "Zn", "Zn", "Ge", "Ge", "Ge", "Ge", "O", "O", "O", "O", "O", "O", "O", "O", "O", "O", "O", "O"],
  "frac_coords": [[0.784, 0.430, 0.927], [0.570, 0.216, 0.573], [0.216, 0.570, 0.427], [0.430, 0.784, 0.073], [0.691, 0.309, 0.250], [0.309, 0.691, 0.750], [0.826, 0.862, 0.362], [0.138, 0.174, 0.138], [0.174, 0.138, 0.862], [0.862, 0.826, 0.638], [0.607, 0.984, 0.332], [0.541, 0.705, 0.620], [0.705, 0.541, 0.380], [0.393, 0.016, 0.832], [0.997, 0.997, 0.500], [0.459, 0.295, 0.120], [0.062, 0.938, 0.250], [0.295, 0.459, 0.880], [0.003, 0.003, 0.000], [0.938, 0.062, 0.750], [0.016, 0.393, 0.168], [0.984, 0.607, 0.668]]
}



6.
{
  "formula": "K2ZrGe2O7",
  "functional": "GGA-PBE",
  "state": "relaxed",
  "space_group": "C2/c, No. 15",
  "ef_ev_per_atom": -2.60,
  "density_g_cm3": 3.9,
  "lattice": [[3.537, -4.496, -0.916], [5.001, -0.569, 2.869], [-3.160, -8.264, 9.794]],
  "species": ["K", "K", "K", "K", "Zr", "Zr", "Ge", "Ge", "Ge", "Ge", "O", "O", "O", "O", "O", "O", "O", "O", "O", "O", "O", "O", "O", "O"],
  "frac_coords": [[0.641, 0.065, 0.178], [0.935, 0.359, 0.322], [0.359, 0.935, 0.822], [0.065, 0.641, 0.678], [0.500, 0.000, 0.500], [0.000, 0.500, 0.000], [0.758, 0.317, 0.622], [0.317, 0.758, 0.122], [0.242, 0.683, 0.378], [0.683, 0.242, 0.878], [0.812, 0.924, 0.956], [0.328, 0.423, 0.873], [0.423, 0.328, 0.373], [0.672, 0.577, 0.127], [0.860, 0.140, 0.750], [0.140, 0.860, 0.250], [0.213, 0.537, 0.101], [0.463, 0.787, 0.399], [0.076, 0.188, 0.544], [0.537, 0.213, 0.601], [0.188, 0.076, 0.044], [0.924, 0.812, 0.456], [0.787, 0.463, 0.899], [0.577, 0.672, 0.627]]
}



7.
{
  "formula": "K4GeP4S12",
  "functional": "GGA-PBE",
  "state": "relaxed",
  "space_group": "C2/c, No. 15",
  "ef_ev_per_atom": -0.95,
  "density_g_cm3": 2.1,
  "lattice": [[4.016, 6.209, 0.000], [-4.016, 6.209, 0.000], [0.000, 4.212, 23.244]],
  "species": ["K", "K", "K", "K", "K", "K", "K", "K", "Ge", "Ge", "P", "P", "P", "P", "P", "P", "P", "P", "S", "S", "S", "S", "S", "S", "S", "S", "S", "S", "S", "S", "S", "S", "S", "S", "S", "S", "S", "S", "S", "S", "S", "S"],
  "frac_coords": [[0.835, 0.792, 0.546], [0.208, 0.165, 0.954], [0.165, 0.208, 0.454], [0.792, 0.835, 0.046], [0.680, 0.516, 0.816], [0.484, 0.320, 0.684], [0.320, 0.484, 0.184], [0.516, 0.680, 0.316], [0.036, 0.964, 0.750], [0.964, 0.036, 0.250], [0.113, 0.695, 0.874], [0.305, 0.887, 0.626], [0.887, 0.305, 0.126], [0.695, 0.113, 0.374], [0.083, 0.211, 0.617], [0.789, 0.917, 0.883], [0.917, 0.789, 0.383], [0.211, 0.083, 0.117], [0.213, 0.634, 0.950], [0.366, 0.787, 0.550], [0.787, 0.366, 0.050], [0.634, 0.213, 0.450], [0.150, 0.472, 0.829], [0.528, 0.850, 0.671], [0.850, 0.528, 0.171], [0.472, 0.150, 0.329], [0.108, 0.764, 0.680], [0.236, 0.892, 0.820], [0.892, 0.236, 0.320], [0.764, 0.108, 0.180], [0.231, 0.375, 0.579], [0.625, 0.769, 0.921], [0.769, 0.625, 0.421], [0.375, 0.231, 0.079], [0.846, 0.238, 0.581], [0.762, 0.154, 0.919], [0.154, 0.762, 0.419], [0.238, 0.846, 0.081], [0.014, 0.267, 0.708], [0.733, 0.986, 0.792], [0.986, 0.733, 0.292], [0.267, 0.014, 0.208]]
}